The following is a r²SCAN calculation of a relaxed Y3FeB7 crystal, from the Materials Project.

Output
- Space group: Cmcm, No. 63

```
22
Lattice="1.707 -7.864 0.000 1.707 7.864 0.000 0.000 0.000 9.307" Properties=species:S:1:pos:R:3 pbc="T T T"
Y 1.707 6.217 5.216
Y 1.707 6.217 8.744
Y 1.707 4.046 2.327
Y 1.707 -4.046 6.980
Y 1.707 -6.217 0.562
Y 1.707 -6.217 4.091
Fe 1.707 7.008 2.327
Fe 1.707 -7.008 6.980
B 1.707 3.573 4.958
B 1.707 3.573 9.003
B 1.707 2.037 6.082
B 1.707 2.037 7.878
B 1.707 0.621 2.327
B 1.707 0.345 5.580
B 1.707 0.345 8.380
B 1.707 -0.345 0.926
B 1.707 -0.345 3.727
B 1.707 -0.621 6.980
B 1.707 -2.037 1.429
B 1.707 -2.037 3.224
B 1.707 -3.573 0.304
B 1.707 -3.573 4.349
```

The following is a r²SCAN calculation of a relaxed Mg14GaB crystal, from the Materials Project.

Output
- Space group: Amm2, No. 38

```
16
Lattice="9.638 0.000 0.000 0.000 3.354 5.185 0.000 -3.354 5.185" Properties=species:S:1:pos:R:3 pbc="T T T"
Mg 0.000 0.000 0.000
Mg 0.000 0.000 5.092
Mg 0.000 -1.639 7.805
Mg 0.000 1.639 7.805
Mg 2.411 0.000 2.001
Mg 2.406 0.000 7.005
Mg 2.865 -1.854 4.559
Mg 2.865 1.854 4.559
Mg 4.819 -1.712 7.371
Mg 4.819 1.712 7.371
Mg 6.774 -1.854 4.559
Mg 6.774 1.854 4.559
Mg 7.227 0.000 2.001
Mg 7.233 0.000 7.005
Ga 4.819 0.000 5.086
B 4.819 0.000 0.343
```

The following is a r²SCAN calculation of a relaxed Mg14GaBO16 crystal, from the Materials Project.

Output
- Space group: Pmmm, No. 47

```
32
Lattice="4.206 0.000 0.000 0.000 8.456 0.000 0.000 0.000 8.463" Properties=species:S:1:pos:R:3 pbc="T T T"
Mg 0.000 0.000 0.000
Mg 0.000 0.000 4.231
Mg 0.000 2.120 2.071
Mg 0.000 2.120 6.392
Mg 0.000 6.336 2.071
Mg 0.000 6.336 6.392
Mg 2.103 0.000 2.089
Mg 2.103 0.000 6.374
Mg 2.103 2.092 4.231
Mg 2.103 2.144 0.000
Mg 2.103 4.228 2.057
Mg 2.103 4.228 6.406
Mg 2.103 6.313 0.000
Mg 2.103 6.364 4.231
Ga 0.000 4.228 4.231
B 0.000 4.228 0.000
O 0.000 0.000 2.157
O 0.000 0.000 6.306
O 0.000 1.989 0.000
O 0.000 2.153 4.231
O 0.000 4.228 2.335
O 0.000 4.228 6.128
O 0.000 6.303 4.231
O 0.000 6.468 0.000
O 2.103 0.000 0.000
O 2.103 0.000 4.231
O 2.103 2.131 2.122
O 2.103 2.131 6.341
O 2.103 4.228 0.000
O 2.103 4.228 4.231
O 2.103 6.325 2.122
O 2.103 6.325 6.341
```

The following is a r²SCAN calculation of a relaxed Ga4B2O9 crystal, from the Materials Project.

Output
- Space group: Cm, No. 8

```
30
Lattice="7.587 -2.878 0.000 7.587 2.878 0.000 -7.541 0.000 7.795" Properties=species:S:1:pos:R:3 pbc="T T T"
Ga 0.000 0.000 0.000
Ga 5.053 -1.454 6.493
Ga -3.961 0.000 4.344
Ga -1.179 0.000 3.558
Ga 8.828 1.445 2.534
Ga 5.053 1.454 6.493
Ga 11.176 0.000 1.296
Ga 8.828 -1.445 2.534
B 2.790 0.000 0.336
B 7.186 0.000 0.299
B 2.962 0.000 4.671
B 6.843 0.000 4.386
O 2.700 1.221 1.266
O -5.854 0.000 7.207
O 0.082 0.000 1.918
O -2.123 0.000 5.252
O -0.798 1.193 7.527
O -3.440 0.000 7.448
O 3.507 1.175 5.154
O 1.956 0.000 3.738
O 2.700 -1.221 1.266
O 7.241 1.191 3.804
O 8.008 0.000 1.374
O -0.798 -1.193 7.527
O 6.082 0.000 5.520
O 3.507 -1.175 5.154
O 4.625 0.000 7.571
O 9.698 0.000 3.315
O 7.241 -1.191 3.804
O 12.319 0.000 2.780
```

The following is a r²SCAN calculation of a relaxed Ta5Ga3B crystal, from the Materials Project.

Output
- Space group: P6_3/mcm, No. 193

```
18
Lattice="7.738 0.000 0.000 -3.869 6.701 0.000 0.000 0.000 5.309" Properties=species:S:1:pos:R:3 pbc="T T T"
Ta -0.941 1.629 1.327
Ta -2.928 5.072 3.982
Ta 1.881 0.000 1.327
Ta 0.941 1.629 3.982
Ta 0.000 4.467 0.000
Ta 0.000 4.467 2.654
Ta 3.869 2.234 0.000
Ta 3.869 2.234 2.654
Ta 5.857 0.000 3.982
Ta 2.928 5.072 1.327
Ga -1.554 2.692 3.982
Ga -2.315 4.009 1.327
Ga 3.108 0.000 3.982
Ga 1.554 2.692 1.327
Ga 4.629 0.000 1.327
Ga 2.315 4.009 3.982
B 0.000 0.000 0.000
B 0.000 0.000 2.654
```

The following is a r²SCAN calculation of a relaxed Gd2B5 crystal, from the Materials Project.

Output
- Space group: P2_1/c, No. 14

```
28
Lattice="7.145 0.000 0.000 0.000 7.157 0.000 -1.549 0.000 7.012" Properties=species:S:1:pos:R:3 pbc="T T T"
Gd 1.464 1.370 0.905
Gd 0.689 2.208 4.410
Gd 1.324 4.899 1.792
Gd 0.550 5.835 5.297
Gd 5.046 1.321 1.714
Gd 4.271 2.257 5.220
Gd 4.906 4.949 2.601
Gd 4.132 5.786 6.107
B -0.890 3.632 6.508
B -0.116 7.103 3.003
B 0.763 3.589 6.743
B 1.538 7.145 3.237
B 2.839 1.238 3.229
B 2.064 2.341 6.734
B 2.269 3.855 5.796
B 3.044 6.880 2.290
B 2.650 4.225 4.137
B 3.424 6.510 0.631
B 2.171 0.647 6.380
B 2.946 2.932 2.874
B 2.552 0.276 4.722
B 3.326 3.302 1.216
B 3.532 4.816 0.277
B 2.757 5.919 3.783
B 4.058 0.011 3.775
B 4.833 3.567 0.269
B 5.711 0.054 4.009
B 6.486 3.524 0.503
```

no.,formation energy from the elements (kJ/mol of formula units)
1,-636
2,235
3,-8140
4,-3230
5,-425
6,-414